This record from the Materials Project database describes a relaxed HfP2O7 crystal. The functional is r2SCAN.

Values from the calculation:
The space-group type is Pa-3, No. 205. The value obtained for the formation energy from the elements is -2933 meV/atom. As for the uncorrected energy: -13.43 eV/atom. The magnetization is 0.0 μB per cell.

```
data_HfP2O7
_space_group_name_H-M_alt 'P 1'
_space_group_IT_number 1
_cell_length_a 8.388
_cell_length_b 8.388
_cell_length_c 8.388
_cell_angle_alpha 90.00
_cell_angle_beta 90.00
_cell_angle_gamma 90.00
loop_
_space_group_symop_operation_xyz
'x,y,z'
loop_
_atom_site_label
_atom_site_fract_x
_atom_site_fract_y
_atom_site_fract_z
P1 0.892 0.108 0.608
P2 0.608 0.892 0.108
P3 0.108 0.608 0.892
P4 0.392 0.392 0.392
P5 0.608 0.608 0.608
P6 0.392 0.108 0.892
P7 0.108 0.892 0.392
P8 0.892 0.392 0.108
O1 0.222 0.079 0.943
O2 0.722 0.079 0.557
O3 0.722 0.421 0.057
O4 0.921 0.057 0.778
O5 0.079 0.557 0.722
O6 0.943 0.278 0.579
O7 0.443 0.222 0.421
O8 0.000 0.000 0.500
O9 0.278 0.921 0.443
O10 0.079 0.943 0.222
O11 0.557 0.722 0.079
O12 0.778 0.921 0.057
O13 0.000 0.500 0.000
O14 0.222 0.421 0.443
O15 0.579 0.557 0.778
O16 0.443 0.278 0.921
O17 0.421 0.443 0.222
O18 0.421 0.057 0.722
O19 0.500 0.500 0.500
O20 0.579 0.943 0.278
O21 0.921 0.443 0.278
O22 0.943 0.222 0.079
O23 0.778 0.579 0.557
O24 0.278 0.579 0.943
O25 0.557 0.778 0.579
O26 0.057 0.778 0.921
O27 0.057 0.722 0.421
O28 0.500 0.000 0.000
Hf1 0.500 0.500 0.000
Hf2 0.000 0.000 0.000
Hf3 0.500 0.000 0.500
Hf4 0.000 0.500 0.500
```